Record 1
A relaxed Pr8Sb14Rh17 crystal, computed with PBE.

## Properties
DFT formation energy, eV per atom: -0.80
Total energy, eV per atom: -6.477
ρ, g/cm3: 9.1

CIF file:
```
data_Pr8Sb14Rh17
_chemical_formula_sum 'Pr32 Sb56 Rh68'
_cell_length_a 12.311
_cell_length_b 12.311
_cell_length_c 21.947
_cell_angle_alpha 90.00
_cell_angle_beta 90.00
_cell_angle_gamma 90.00
_space_group_name_H-M_alt 'I 4 c m'
_space_group_IT_number 108
_space_group_name_Hall 'I 4 -2c'
loop_
_atom_site_label
_atom_site_fract_x
_atom_site_fract_y
_atom_site_fract_z
Pr1 0.000 0.000 0.000
Pr2 0.000 0.500 0.001
Pr3 0.010 0.248 0.259
Pr4 0.236 0.264 0.507
Sb1 0.000 0.000 0.207
Sb2 0.000 0.500 0.206
Sb3 0.010 0.249 0.064
Sb4 0.089 0.411 0.863
Sb5 0.119 0.156 0.386
Sb6 0.243 0.257 0.696
Rh1 0.000 0.000 0.333
Rh2 0.037 0.263 0.948
Rh3 0.117 0.127 0.632
Rh4 0.119 0.381 0.628
Rh5 0.125 0.375 0.137
Rh6 0.125 0.375 0.375
Rh7 0.228 0.272 0.812
```

***

Record 2
A relaxed Pr2SiRh3 crystal, computed with PBE.

## Properties
DFT formation energy, eV per atom: -0.82
Total energy, eV per atom: -6.995
ρ, g/cm3: 9.1

CIF file:
```
data_Pr2SiRh3
_chemical_formula_sum 'Pr6 Si3 Rh9'
_cell_length_a 5.7194
_cell_length_b 5.7194
_cell_length_c 11.9134
_cell_angle_alpha 90.00
_cell_angle_beta 90.00
_cell_angle_gamma 120.00
_space_group_name_H-M_alt 'R -3 m'
_space_group_IT_number 166
_space_group_name_Hall '-R 3 2"'
loop_
_atom_site_label
_atom_site_fract_x
_atom_site_fract_y
_atom_site_fract_z
Pr1 0.0000 0.0000 0.1294
Si1 0.0000 0.0000 0.5000
Rh1 0.0000 0.5000 0.0000
```

***

Record 3
A relaxed PrSi2Rh crystal, computed with PBE.

## Properties
DFT formation energy, eV per atom: -0.91
Total energy, eV per atom: -6.664
ρ, g/cm3: 6.5

CIF file:
```
data_PrSi2Rh
_chemical_formula_sum 'Pr4 Si8 Rh4'
_cell_length_a 4.302
_cell_length_b 16.855
_cell_length_c 4.223
_cell_angle_alpha 90.00
_cell_angle_beta 90.00
_cell_angle_gamma 90.00
_space_group_name_H-M_alt 'C m c m'
_space_group_IT_number 63
_space_group_name_Hall '-C 2c 2'
loop_
_atom_site_label
_atom_site_fract_x
_atom_site_fract_y
_atom_site_fract_z
Pr1 0.000 0.106 0.250
Si1 0.000 0.250 0.750
Si2 0.000 0.460 0.250
Rh1 0.000 0.319 0.250
```

***

Record 4
A relaxed PrSnRh crystal, computed with PBE.

## Properties
DFT formation energy, eV per atom: -0.84
Total energy, eV per atom: -6.221
ρ, g/cm3: 8.7

CIF file:
```
data_PrSnRh
_chemical_formula_sum 'Pr3 Sn3 Rh3'
_cell_length_a 7.5316
_cell_length_b 7.5316
_cell_length_c 4.2045
_cell_angle_alpha 90.00
_cell_angle_beta 90.00
_cell_angle_gamma 120.00
_space_group_name_H-M_alt 'P -6 2 m'
_space_group_IT_number 189
_space_group_name_Hall 'P -6 -2'
loop_
_atom_site_label
_atom_site_fract_x
_atom_site_fract_y
_atom_site_fract_z
Pr1 0.0000 0.5869 0.0000
Sn1 0.0000 0.2488 0.5000
Rh1 0.0000 0.0000 0.0000
Rh2 0.3333 0.6667 0.5000
```